1.
Compound: SrTeO3
Source: the Materials Project
Functional: PBE
Structure: optimized geometry

Values from the calculation:
Symmetry: P1
Uncorrected energy in eV/f.u.: -29.5
Magnetization in μB per formula unit: 0.00

Structure (CIF):
```
data_SrTeO3
_cell_length_a 5.9965
_cell_length_b 14.5893
_cell_length_c 26.7153
_cell_angle_alpha 83.55
_cell_angle_beta 83.56
_cell_angle_gamma 78.15
_space_group_name_H-M_alt 'P 1'
_space_group_IT_number 1
_space_group_name_Hall 'P 1'
loop_
_atom_site_label
_atom_site_fract_x
_atom_site_fract_y
_atom_site_fract_z
Sr1 0.1284 0.6521 0.6376
O1 0.1640 0.5751 0.4907
Te1 0.3118 0.6612 0.1724
Te2 0.9829 0.9122 0.6391
Te3 0.0911 0.3848 0.9260
O2 0.4406 0.3256 0.3620
O3 0.5342 0.6206 0.9264
O4 0.2257 0.8356 0.6727
Sr2 0.0485 0.3282 0.0762
O5 0.9987 0.5024 0.8884
O6 0.3814 0.5935 0.7266
Te4 0.4656 0.4140 0.1397
Te5 0.0356 0.1857 0.2074
O7 0.7728 0.0779 0.9906
O8 0.0323 0.5129 0.3752
O9 0.2541 0.6638 0.8432
O10 0.7466 0.3347 0.1557
Sr3 0.8037 0.0564 0.8032
O11 0.6333 0.8686 0.1825
Te6 0.5996 0.8837 0.4259
Sr4 0.0007 0.9989 0.4990
O12 0.8840 0.4054 0.7828
O13 0.6009 0.3033 0.4646
Sr5 0.7236 0.5623 0.5547
Te7 0.5689 0.6858 0.7076
O14 0.7761 0.1647 0.3261
Te8 0.9661 0.8139 0.7920
O15 0.1151 0.5962 0.2175
O16 0.0823 0.2961 0.4434
O17 0.2377 0.1643 0.3440
Te9 0.3440 0.7965 0.9999
Sr6 0.3345 0.5562 0.3018
O18 0.6356 0.8018 0.9659
Te10 0.8535 0.1583 0.6736
O19 0.6183 0.4070 0.2725
O20 0.5676 0.6301 0.2112
O21 0.4642 0.0042 0.1103
Te11 0.7454 0.5941 0.3841
O22 0.8721 0.2808 0.6860
O23 0.8182 0.1054 0.2131
O24 0.6843 0.6345 0.3172
O25 0.9060 0.3992 0.9878
O26 0.9905 0.4979 0.1117
O27 0.6113 0.9999 0.3865
O28 0.4004 0.9974 0.6127
O29 0.4258 0.5004 0.6100
O30 0.5909 0.1285 0.7137
O31 0.0865 0.8796 0.5731
O32 0.1808 0.8952 0.7859
Sr7 0.6689 0.4446 0.6975
Te12 0.4306 0.3149 0.2921
O33 0.6255 0.6024 0.0545
O34 0.9140 0.1197 0.4260
Sr8 0.5015 0.4998 0.9997
Te13 0.7232 0.9064 0.1154
O35 0.7211 0.0999 0.5552
O36 0.1810 0.7988 0.9426
O37 0.7679 0.8317 0.6553
Sr9 0.0862 0.5398 0.7900
O38 0.8588 0.6045 0.7142
O39 0.3967 0.6971 0.5353
Te14 0.1446 0.8411 0.3273
O40 0.1411 0.3967 0.2865
O41 0.2319 0.9253 0.0077
O42 0.1587 0.7819 0.1880
O43 0.9164 0.7008 0.5561
Sr10 0.8696 0.3467 0.3619
O44 0.2684 0.3372 0.1742
O45 0.7338 0.6645 0.8275
Te15 0.6840 0.3406 0.8273
Te16 0.2752 0.0946 0.8855
O46 0.8235 0.2029 0.0564
O47 0.8455 0.4239 0.5077
Sr11 0.5799 0.1550 0.1375
O48 0.7040 0.9011 0.4877
Sr12 0.9515 0.6732 0.9227
O49 0.8366 0.2191 0.8128
O50 0.4311 0.3720 0.7876
O51 0.5717 0.4989 0.3881
Te17 0.9091 0.6150 0.0727
O52 0.3197 0.3651 0.6823
Sr13 0.2748 0.4359 0.4443
O53 0.4604 0.3801 0.0739
O54 0.3730 0.3994 0.9442
O55 0.7037 0.9053 0.7730
Te18 0.4065 0.1141 0.5735
O56 0.8750 0.8261 0.8618
O57 0.0938 0.5973 0.0110
O58 0.2963 0.0975 0.5121
O59 0.1282 0.7189 0.3139
Sr14 0.8441 0.9373 0.9452
Sr15 0.1937 0.9439 0.1976
Sr16 0.2109 0.2504 0.7506
O60 0.3688 0.1993 0.0345
Te19 0.1383 0.7034 0.4996
O61 0.5377 0.9980 0.8895
O62 0.2930 0.0923 0.2271
Sr17 0.5459 0.8265 0.5768
O63 0.4088 0.8720 0.2884
O64 0.0732 0.0162 0.8759
O65 0.2842 0.8982 0.4433
Te20 0.0161 0.0866 0.3599
O66 0.9298 0.9841 0.1232
O67 0.5636 0.6727 0.6379
Te21 0.6577 0.2060 0.9994
Sr18 0.4149 0.9619 0.7100
O68 0.3638 0.1362 0.8189
Te22 0.8607 0.2956 0.5000
Sr19 0.9145 0.4625 0.2102
Te23 0.5361 0.5863 0.8605
Sr20 0.4264 0.8466 0.8612
O69 0.0710 0.0953 0.7191
Sr21 0.5866 0.0382 0.2891
Sr22 0.7868 0.7519 0.2501
Te24 0.2565 0.4035 0.6154
O70 0.9292 0.9040 0.2812
O71 0.9670 0.4833 0.6236
Sr23 0.1583 0.0645 0.0546
Sr24 0.4505 0.1715 0.4230
O72 0.1258 0.1747 0.1376
```

2.
Compound: Sr6Te6O17
Source: the Materials Project
Functional: PBE
Structure: optimized geometry

Values from the calculation:
Symmetry: C2/c
Uncorrected energy in eV/f.u.: -169.0
Magnetization in μB per formula unit: 0.01

Structure (CIF):
```
data_Sr6Te6O17
_cell_length_a 14.4620
_cell_length_b 14.4620
_cell_length_c 28.9198
_cell_angle_alpha 67.10
_cell_angle_beta 67.10
_cell_angle_gamma 23.72
_space_group_name_H-M_alt 'P 1'
_space_group_IT_number 1
_space_group_name_Hall 'P 1'
loop_
_atom_site_label
_atom_site_fract_x
_atom_site_fract_y
_atom_site_fract_z
O1 0.4459 0.8594 0.3637
O2 0.2952 0.0912 0.5119
Sr1 0.9478 0.4545 0.9239
Te1 0.9110 0.3978 0.0741
O3 0.0789 0.1124 0.7193
Sr2 0.4191 0.9126 0.7105
O4 0.8187 0.8571 0.2137
Te2 0.3471 0.8590 0.9997
O5 0.1076 0.0153 0.8750
O6 0.7776 0.7301 0.3257
O7 0.0153 0.1076 0.3750
O8 0.6276 0.7161 0.0573
O9 0.4048 0.6423 0.8220
O10 0.6311 0.5961 0.9637
O11 0.8571 0.8187 0.7137
O12 0.3023 0.3846 0.2248
O13 0.7474 0.7608 0.1548
Te3 0.8638 0.3039 0.6741
Te4 0.8590 0.3471 0.4997
O14 0.3577 0.5952 0.6780
Sr3 0.7393 0.1452 0.5550
O15 0.7048 0.9088 0.4881
O16 0.7832 0.1477 0.9914
O17 0.4039 0.3689 0.5363
O18 0.0912 0.2952 0.0119
Sr4 0.2607 0.8548 0.4450
O19 0.2699 0.2224 0.1743
O20 0.7301 0.7776 0.8257
O21 0.5444 0.9076 0.9262
Te5 0.9509 0.4403 0.7944
Sr5 0.5455 0.0522 0.5761
O22 0.3796 0.0099 0.6120
Te6 0.4592 0.9878 0.1388
Sr6 0.7617 0.2383 0.2500
Te7 0.6529 0.1410 0.0003
O23 0.3689 0.4039 0.0363
O24 0.1429 0.1813 0.2863
O25 0.5642 0.5966 0.2125
O26 0.1406 0.5541 0.1363
O27 0.1790 0.0811 0.9433
Te8 0.2840 0.6911 0.6102
Sr7 0.4545 0.9478 0.4239
O28 0.9076 0.5444 0.4262
Sr8 0.6846 0.1769 0.6988
Te9 0.0890 0.6022 0.9259
O29 0.9901 0.6204 0.8880
O30 0.5966 0.5642 0.7125
Te10 0.6022 0.0890 0.4259
Sr9 0.1769 0.6846 0.1988
O31 0.0099 0.3796 0.1120
O32 0.8562 0.1117 0.8094
Te11 0.9878 0.4592 0.6388
Sr10 0.5000 0.0000 0.0000
Sr11 0.2383 0.7617 0.7500
O33 0.4034 0.4358 0.2875
Sr12 0.5941 0.1145 0.1380
O34 0.8594 0.4459 0.8637
Te12 0.6961 0.1362 0.8259
O35 0.6154 0.6977 0.2752
O36 0.1117 0.8562 0.3094
Te13 0.1362 0.6961 0.3259
Sr13 0.0522 0.5455 0.0761
O37 0.8876 0.9211 0.7807
O38 0.1124 0.0789 0.2193
Sr14 0.5809 0.0874 0.2895
O39 0.0924 0.4556 0.5738
O40 0.2392 0.2526 0.3452
Te14 0.1410 0.6529 0.5003
Sr15 0.0000 0.5000 0.5000
O41 0.6423 0.4048 0.3220
O42 0.9211 0.8876 0.2807
Te15 0.3039 0.8638 0.1741
O43 0.8924 0.9847 0.1250
O44 0.5541 0.1406 0.6363
Te16 0.0122 0.5408 0.3612
O45 0.5952 0.3577 0.1780
Sr16 0.9126 0.4191 0.2105
O46 0.7608 0.7474 0.6548
O47 0.9847 0.8924 0.6250
Sr17 0.0874 0.5809 0.7895
O48 0.7161 0.6276 0.5573
O49 0.1813 0.1429 0.7863
Sr18 0.1452 0.7393 0.0550
O50 0.1477 0.7832 0.4914
O51 0.8883 0.1438 0.6906
O52 0.3724 0.2839 0.9427
Te17 0.4403 0.9509 0.2944
O53 0.4358 0.4034 0.7875
O54 0.8523 0.2168 0.5086
Te18 0.6911 0.2840 0.1102
Sr19 0.8855 0.4059 0.3620
O55 0.2168 0.8523 0.0086
O56 0.5961 0.6311 0.4637
O57 0.6977 0.6154 0.7752
O58 0.2526 0.2392 0.8452
O59 0.6204 0.9901 0.3880
Te19 0.0491 0.5597 0.2056
O60 0.9088 0.7048 0.9881
Sr20 0.8548 0.2607 0.9450
Sr21 0.1145 0.5941 0.6380
Te20 0.5597 0.0491 0.7056
Sr22 0.8231 0.3154 0.8012
Sr23 0.3154 0.8231 0.3012
Te21 0.3978 0.9110 0.5741
Sr24 0.4059 0.8855 0.8620
O61 0.9189 0.8210 0.5567
O62 0.2224 0.2699 0.6743
O63 0.0811 0.1790 0.4433
Te22 0.7160 0.3089 0.3898
Te23 0.5408 0.0122 0.8612
O64 0.1438 0.8883 0.1906
Te24 0.3089 0.7160 0.8898
O65 0.2839 0.3724 0.4427
O66 0.4556 0.0924 0.0738
O67 0.8210 0.9189 0.0567
O68 0.3846 0.3023 0.7248
```

3.
Compound: Sr3TeO6
Source: the Materials Project
Functional: PBE
Structure: optimized geometry

Values from the calculation:
Symmetry: P-1
Uncorrected energy in eV/f.u.: -61.3
Magnetization in μB per formula unit: 0.00

Structure (CIF):
```
data_Sr3TeO6
_cell_length_a 11.8729
_cell_length_b 11.9169
_cell_length_c 11.9094
_cell_angle_alpha 119.89
_cell_angle_beta 119.61
_cell_angle_gamma 90.25
_space_group_name_H-M_alt 'P 1'
_space_group_IT_number 1
_space_group_name_Hall 'P 1'
loop_
_atom_site_label
_atom_site_fract_x
_atom_site_fract_y
_atom_site_fract_z
O1 0.5935 0.6213 0.7312
O2 0.8901 0.8708 0.4947
O3 0.8857 0.4240 0.0374
O4 0.1655 0.5054 0.1724
O5 0.1143 0.5760 0.9626
O6 0.1285 0.8933 0.5004
Sr1 0.7849 0.7323 0.0032
Sr2 0.2151 0.2677 0.9968
O7 0.5020 0.3349 0.5030
O8 0.3925 0.8744 0.7659
Sr3 0.1154 0.3693 0.7279
Te1 0.0000 0.0000 0.5000
Sr4 0.1299 0.9229 0.2857
Sr5 0.3827 0.6091 0.2239
Sr6 0.0812 0.3721 0.2435
Sr7 0.7252 0.2222 0.9454
Sr8 0.8701 0.0771 0.7143
Sr9 0.1377 0.8660 0.7250
Sr10 0.2748 0.7778 0.0546
Sr11 0.7228 0.7204 0.5024
O9 0.3351 0.8316 0.3369
Sr12 0.2772 0.2796 0.4976
Te2 0.5000 0.5000 0.5000
O10 0.1099 0.1292 0.5053
O11 0.4801 0.0081 0.3311
O12 0.6057 0.5600 0.2198
O13 0.9140 0.6395 0.5384
O14 0.9923 0.3199 0.8492
O15 0.4065 0.3787 0.2688
O16 0.3403 0.3968 0.9603
O17 0.5586 0.3388 0.9407
Te3 0.5000 0.5000 0.0000
Sr13 0.7259 0.2658 0.5331
O18 0.6419 0.1009 0.0158
Sr14 0.9188 0.6279 0.7565
Sr15 0.6372 0.8719 0.7935
O19 0.5199 0.9919 0.6689
O20 0.1078 0.6080 0.4797
Te4 0.0000 0.5000 0.0000
Te5 0.5000 0.0000 0.0000
O21 0.0903 0.8686 0.0224
Sr16 0.6173 0.3909 0.7761
O22 0.3581 0.8991 0.9842
O23 0.4414 0.6612 0.0593
O24 0.3786 0.1085 0.5235
O25 0.6597 0.6032 0.0397
O26 0.8615 0.3943 0.2700
O27 0.9097 0.1314 0.9776
O28 0.3981 0.1276 0.9878
O29 0.6075 0.1256 0.2341
O30 0.0077 0.6801 0.1508
Sr17 0.3533 0.1186 0.7414
O31 0.6649 0.1684 0.6631
O32 0.8715 0.1067 0.4996
Sr18 0.3628 0.1281 0.2065
O33 0.8922 0.3920 0.5203
Sr19 0.8846 0.6307 0.2721
O34 0.1035 0.0418 0.9309
Sr20 0.6467 0.8814 0.2586
O35 0.1385 0.6057 0.7300
O36 0.1154 0.1056 0.7258
O37 0.0860 0.3605 0.4616
O38 0.3278 0.4891 0.4835
Sr21 0.6231 0.3511 0.2318
O39 0.3943 0.4400 0.7802
O40 0.8345 0.4946 0.8276
Te6 0.0000 0.0000 0.0000
Sr22 0.8623 0.1340 0.2750
O41 0.6214 0.8915 0.4765
Sr23 0.2741 0.7342 0.4669
O42 0.8519 0.8537 0.7828
O43 0.8846 0.8944 0.2742
O44 0.8965 0.9582 0.0691
Te7 0.0000 0.5000 0.5000
O45 0.6722 0.5109 0.5165
Sr24 0.3769 0.6489 0.7682
Te8 0.5000 0.0000 0.5000
O46 0.4980 0.6651 0.4970
O47 0.6019 0.8724 0.0122
O48 0.1481 0.1463 0.2172
```

4.
Compound: Sr5Ti8O21
Source: the Materials Project
Functional: PBE
Structure: optimized geometry

Values from the calculation:
Symmetry: P2/m
Uncorrected energy in eV/f.u.: -280.1
Magnetization in μB per formula unit: 0.00

Structure (CIF):
```
data_Sr5Ti8O21
_cell_length_a 5.6510
_cell_length_b 15.7121
_cell_length_c 32.0161
_cell_angle_alpha 90.00
_cell_angle_beta 90.80
_cell_angle_gamma 90.00
_space_group_name_H-M_alt 'P 1'
_space_group_IT_number 1
_space_group_name_Hall 'P 1'
loop_
_atom_site_label
_atom_site_fract_x
_atom_site_fract_y
_atom_site_fract_z
O1 0.0000 0.7511 0.0000
O2 0.3116 0.6220 0.1351
Sr1 0.9976 0.7552 0.9145
Sr2 0.4914 0.7454 0.8219
O3 0.2414 0.1253 0.9554
O4 0.0288 0.2515 0.1660
O5 0.7443 0.8761 0.9566
Ti1 0.5010 0.1240 0.0884
Sr3 0.9976 0.2448 0.9145
Sr4 0.5086 0.2546 0.1781
O6 0.7716 0.3810 0.2119
O7 0.4467 0.1760 0.7017
O8 0.7521 0.8783 0.1340
Ti2 0.5010 0.8760 0.0884
Ti3 0.1539 0.8161 0.7242
Sr5 0.4877 0.0000 0.8214
O9 0.9712 0.2515 0.8340
O10 0.0177 0.5000 0.7230
Ti4 0.8461 0.8161 0.2758
Ti5 0.9811 0.3758 0.8336
Sr6 0.4994 0.5000 0.1823
Sr7 0.4914 0.2546 0.8219
Sr8 0.5000 0.7537 0.0000
Ti6 0.6577 0.1066 0.7291
O11 0.7936 0.3730 0.1224
O12 0.3116 0.3780 0.1351
O13 0.7431 0.1166 0.8686
O14 0.2569 0.8834 0.1314
O15 0.7619 0.6183 0.7808
Sr9 0.0034 0.0000 0.0883
O16 0.4849 0.0000 0.9144
O17 0.9391 0.8927 0.7029
O18 0.2557 0.1239 0.0434
O19 0.2569 0.1166 0.1314
O20 0.5030 0.2477 0.0880
O21 0.4716 0.0000 0.2634
O22 0.5151 0.0000 0.0856
O23 0.7859 0.8476 0.2211
Ti7 0.9930 0.3911 0.2543
Sr10 0.5000 0.2463 0.0000
O24 0.0000 0.2489 0.0000
O25 0.7431 0.8834 0.8686
Ti8 0.6577 0.8934 0.7291
O26 0.0004 0.0000 0.8208
O27 0.2479 0.8783 0.8660
O28 0.6884 0.6220 0.8649
O29 0.7619 0.3817 0.7808
O30 0.5533 0.1760 0.2983
O31 0.6884 0.3780 0.8649
O32 0.2064 0.3730 0.8776
O33 0.2479 0.1217 0.8660
O34 0.2733 0.6279 0.9621
O35 0.2284 0.6190 0.7881
O36 0.9996 0.0000 0.1792
O37 0.2267 0.6276 0.0483
O38 0.5030 0.7523 0.0880
O39 0.2381 0.6183 0.2192
O40 0.4970 0.7523 0.9120
Ti9 0.0077 0.1271 0.1748
O41 0.7443 0.1239 0.9566
Ti10 0.5035 0.6248 0.0859
Sr11 0.0024 0.7552 0.0855
O42 0.2414 0.8747 0.9554
O43 0.2557 0.8761 0.0434
O44 0.9712 0.7485 0.8340
O45 0.2064 0.6270 0.8776
O46 0.4467 0.8240 0.7017
O47 0.2267 0.3724 0.0483
O48 0.9823 0.5000 0.2770
Ti11 0.3423 0.8934 0.2709
Ti12 0.5035 0.3752 0.0859
Sr12 0.0014 0.5000 0.9166
Ti13 0.0070 0.3911 0.7457
Ti14 0.0189 0.3758 0.1664
O49 0.4887 0.5000 0.9168
Ti15 0.0070 0.6089 0.7457
O50 0.2284 0.3810 0.7881
O51 0.0609 0.8927 0.2971
Ti16 0.9930 0.6089 0.2543
O52 0.5284 0.0000 0.7366
O53 0.5113 0.5000 0.0832
Sr13 0.5000 0.0000 0.0000
O54 0.0359 0.2912 0.7161
Ti17 0.9923 0.8729 0.8252
Ti18 0.8461 0.1839 0.2758
O55 0.5533 0.8240 0.2983
O56 0.9641 0.7088 0.2839
Ti19 0.0000 0.1234 0.0000
O57 0.7267 0.3721 0.0379
Ti20 0.0077 0.8729 0.1748
Ti21 0.4990 0.8760 0.9116
O58 0.2799 0.8619 0.2172
Sr14 0.5086 0.7454 0.1781
Sr15 0.9986 0.5000 0.0834
Sr16 0.5123 0.0000 0.1786
O59 0.7201 0.1381 0.7828
Ti22 0.0000 0.3725 0.0000
O60 0.7733 0.3724 0.9517
O61 0.9641 0.2912 0.2839
O62 0.7521 0.1217 0.1340
Ti23 0.0000 0.8766 0.0000
Ti24 0.0189 0.6242 0.1664
O63 0.4970 0.2477 0.9120
O64 0.2733 0.3721 0.9621
O65 0.7201 0.8619 0.7828
O66 0.2141 0.1524 0.7789
Sr17 0.0024 0.2448 0.0855
O67 0.0000 0.0000 0.0000
Ti25 0.0000 0.6275 0.0000
Sr18 0.9966 0.0000 0.9117
O68 0.2381 0.3817 0.2192
O69 0.9811 0.5000 0.8362
O70 0.0189 0.5000 0.1638
Ti26 0.1539 0.1839 0.7242
O71 0.2141 0.8476 0.7789
O72 0.7716 0.6190 0.2119
O73 0.9391 0.1073 0.7029
O74 0.7586 0.8747 0.0446
O75 0.0609 0.1073 0.2971
Ti27 0.3423 0.1066 0.2709
Ti28 0.4965 0.6248 0.9141
O76 0.7859 0.1524 0.2211
Sr19 0.5000 0.5000 0.0000
O77 0.7936 0.6270 0.1224
O78 0.7733 0.6276 0.9517
O79 0.0288 0.7485 0.1660
Ti29 0.4965 0.3752 0.9141
O80 0.0359 0.7088 0.7161
O81 0.2799 0.1381 0.2172
O82 0.7586 0.1253 0.0446
Ti30 0.9923 0.1271 0.8252
Ti31 0.9811 0.6242 0.8336
Sr20 0.5006 0.5000 0.8177
O83 0.7267 0.6279 0.0379
Ti32 0.4990 0.1240 0.9116
O84 0.0000 0.5000 0.0000
```

Number 1: theoretical density 4.63 g/cm³. Number 2: theoretical density 4.65 g/cm³. Number 3: theoretical density 5.39 g/cm³. Number 4: theoretical density 2.70 g/cm³.